# 1
# SiNiO4

A relaxed structure of SiNiO4 (GGA+U, Materials Project).

## Properties
ΔE_f = -9.1 eV/f.u.
calculated volume = 10.77 A^3/atom
space-group type = Ia-3d

abc: 10.026 10.026 10.026
angles: 109.47 109.47 109.47
Fractional positions:
O: 0.033 0.229 0.131
O: 0.902 0.033 0.304
O: 0.631 0.402 0.098
O: 0.467 0.369 0.271
O: 0.598 0.902 0.369
O: 0.729 0.696 0.098
O: 0.033 0.304 0.902
O: 0.304 0.902 0.271
O: 0.902 0.271 0.304
O: 0.804 0.771 0.402
O: 0.598 0.196 0.229
O: 0.271 0.304 0.902
O: 0.631 0.729 0.533
O: 0.967 0.696 0.098
O: 0.098 0.729 0.696
O: 0.598 0.196 0.467
O: 0.402 0.098 0.869
O: 0.696 0.098 0.967
O: 0.196 0.467 0.598
O: 0.271 0.467 0.369
O: 0.967 0.771 0.869
O: 0.369 0.271 0.467
O: 0.402 0.804 0.771
O: 0.402 0.098 0.631
O: 0.229 0.131 0.033
O: 0.729 0.533 0.631
O: 0.229 0.598 0.196
O: 0.533 0.631 0.729
O: 0.902 0.131 0.598
O: 0.098 0.631 0.402
O: 0.098 0.967 0.696
O: 0.098 0.869 0.402
O: 0.402 0.804 0.533
O: 0.131 0.033 0.229
O: 0.804 0.533 0.402
O: 0.598 0.902 0.131
O: 0.533 0.402 0.804
O: 0.196 0.229 0.598
O: 0.467 0.598 0.196
O: 0.771 0.402 0.804
O: 0.771 0.869 0.967
O: 0.131 0.598 0.902
O: 0.902 0.369 0.598
O: 0.369 0.598 0.902
O: 0.869 0.402 0.098
O: 0.304 0.902 0.033
O: 0.696 0.098 0.729
O: 0.869 0.967 0.771
Ni: 0.875 0.750 0.625
Ni: 0.375 0.125 0.250
Ni: 0.750 0.125 0.375
Ni: 0.750 0.625 0.875
Ni: 0.125 0.250 0.375
Ni: 0.875 0.625 0.250
Ni: 0.250 0.875 0.625
Ni: 0.625 0.250 0.875
Ni: 0.375 0.750 0.125
Ni: 0.625 0.875 0.750
Ni: 0.250 0.375 0.125
Ni: 0.125 0.375 0.750
Si: 0.250 0.125 0.875
Si: 0.375 0.250 0.625
Si: 0.375 0.625 0.750
Si: 0.750 0.375 0.625
Si: 0.875 0.125 0.750
Si: 0.125 0.875 0.250
Si: 0.125 0.750 0.875
Si: 0.625 0.375 0.250
Si: 0.625 0.750 0.375
Si: 0.250 0.625 0.375
Si: 0.750 0.875 0.125
Si: 0.875 0.250 0.125

# 2
# Li7Mn5O12

A relaxed structure of Li7Mn5O12 (GGA+U, Materials Project).

## Properties
ΔE_f = -51.3 eV/f.u.
calculated volume = 9.25 A^3/atom
space-group type = P1
energy above the most stable polymorph in this dataset = 0.018 eV/atom

abc: 6.041 10.186 7.811
angles: 82.61 75.81 103.62
Fractional positions:
Mn: 0.162 0.497 0.329
Mn: 0.001 0.000 0.000
Mn: 0.831 0.502 0.671
Mn: 0.836 0.002 0.670
Mn: 0.657 0.498 0.330
Mn: 0.000 0.500 0.000
Mn: 0.659 0.998 0.327
Mn: 0.341 0.502 0.673
Mn: 0.170 0.999 0.329
Mn: 0.342 0.002 0.670
Li: 0.420 0.741 0.839
Li: 0.413 0.241 0.841
Li: 0.088 0.751 0.164
Li: 0.252 0.254 0.500
Li: 0.265 0.759 0.501
Li: 0.748 0.246 0.501
Li: 0.071 0.242 0.160
Li: 0.493 0.996 0.002
Li: 0.735 0.741 0.497
Li: 0.911 0.749 0.835
Li: 0.587 0.258 0.159
Li: 0.930 0.257 0.841
Li: 0.581 0.760 0.162
Li: 0.507 0.504 0.998
O: 0.862 0.883 0.238
O: 0.254 0.108 0.086
O: 0.254 0.606 0.087
O: 0.141 0.118 0.762
O: 0.205 0.888 0.905
O: 0.202 0.386 0.913
O: 0.859 0.382 0.238
O: 0.605 0.107 0.738
O: 0.798 0.115 0.087
O: 0.968 0.115 0.426
O: 0.746 0.894 0.913
O: 0.535 0.885 0.578
O: 0.394 0.392 0.263
O: 0.353 0.876 0.256
O: 0.532 0.384 0.575
O: 0.647 0.624 0.744
O: 0.746 0.391 0.915
O: 0.072 0.898 0.587
O: 0.032 0.385 0.574
O: 0.927 0.601 0.413
O: 0.468 0.116 0.425
O: 0.138 0.618 0.763
O: 0.465 0.615 0.422
O: 0.795 0.612 0.094

# 3
# Ti3Co2NiP6O24

A relaxed structure of Ti3Co2NiP6O24 (GGA+U, Materials Project).

## Properties
ΔE_f = -95.5 eV/f.u.
calculated volume = 12.37 A^3/atom
space-group type = R3

abc: 8.506 8.506 8.506
angles: 61.03 61.03 61.03
Fractional positions:
O: 0.619 0.998 0.816
O: 0.184 0.391 0.987
O: 0.906 0.261 0.054
O: 0.886 0.675 0.510
O: 0.675 0.510 0.886
O: 0.411 0.567 0.758
O: 0.054 0.906 0.261
O: 0.090 0.744 0.942
O: 0.998 0.816 0.619
O: 0.587 0.446 0.240
O: 0.261 0.054 0.906
O: 0.567 0.758 0.411
O: 0.758 0.411 0.567
O: 0.816 0.619 0.998
O: 0.314 0.497 0.119
O: 0.497 0.119 0.314
O: 0.942 0.090 0.744
O: 0.119 0.314 0.497
O: 0.987 0.184 0.391
O: 0.744 0.942 0.090
O: 0.391 0.987 0.184
O: 0.510 0.886 0.675
O: 0.240 0.587 0.446
O: 0.446 0.240 0.587
P: 0.455 0.045 0.750
P: 0.750 0.455 0.045
P: 0.045 0.750 0.455
P: 0.247 0.543 0.955
P: 0.955 0.247 0.543
P: 0.543 0.955 0.247
Ni: 0.142 0.142 0.142
Ti: 0.355 0.355 0.355
Ti: 0.858 0.858 0.858
Ti: 0.644 0.644 0.644
Co: 0.003 0.003 0.003
Co: 0.501 0.501 0.501